VASP calculation (PBE with a Hubbard U) on a relaxed MgMn4FeO8 crystal.

Cell: 10.9104 5.7700 6.0346 Å, 90.00 122.21 90.00°
Closest atoms and distances in Å follow each position.
Space group Cm (No. 8)
Asymmetric unit:
Mg1 0.0000 0.0000 0.0000 (multiplicity 2)  4 O 1.97-2.07
Mn1 0.1548 0.5000 0.9418 (multiplicity 2)  6 O 2.14-2.24
Mn2 0.1999 0.0000 0.5233 (multiplicity 2)  5 O 1.94-2.13
Mn3 0.4108 0.2474 0.4239 (multiplicity 4)  4 O 1.92-2.00
Fe1 0.1551 0.5000 0.4389 (multiplicity 2)  6 O 1.95-2.07
O1 0.1534 0.2611 0.6693 (multiplicity 4)  2 Mn 1.94-2.14, 1 Fe 1.96
O2 0.1591 0.2419 0.2240 (multiplicity 4)  1 Fe 1.99, 1 Mg 2.07, 1 Mn 2.13
O3 0.3782 0.5000 0.6149 (multiplicity 2)  1 Mg 1.97, 2 Mn 2.00, 1 Fe 2.07
O4 0.3945 0.5000 0.1902 (multiplicity 2)  2 Mn 1.97, 1 Mg 2.01
O5 0.4211 0.0000 0.6588 (multiplicity 2)  4 Mn 1.97-2.19
O6 0.4440 0.0000 0.2489 (multiplicity 2)  2 Mn 1.92, 1 Fe 1.95

relative energy among the computed polymorphs: 0.068 eV per atom
volume: 11.5 A^3/atom
uncorrected energy: -197.52 eV for the cell shown

VASP calculation (PBE with a Hubbard U) on a relaxed MgMn4Fe2O8 crystal.

Cell: 6.0971 6.2582 6.3536 Å, 60.70 61.45 89.91°
Closest atoms and distances in Å follow each position.
Space group P1 (No. 1)
Asymmetric unit:
Mg1 0.0000 0.0000 0.0000 (multiplicity 1)  4 O 1.97-2.07
Mn1 0.0477 0.5537 0.8899 (multiplicity 1)  4 O 2.06-2.13
Mn2 0.3990 0.6477 0.2056 (multiplicity 1)  6 O 1.98-2.15
Mn3 0.6960 0.6980 0.5854 (multiplicity 1)  3 O 2.00-2.18
Mn4 0.9308 0.1995 0.5783 (multiplicity 1)  5 O 2.02-2.24
Fe1 0.4028 0.1357 0.1969 (multiplicity 1)  6 O 1.98-2.19
Fe2 0.4780 0.1848 0.6104 (multiplicity 1)  5 O 2.02-2.23
O1 0.1341 0.8728 0.2529 (multiplicity 1)  1 Mg 1.97, 1 Fe 2.10, 1 Mn 2.15
O2 0.1709 0.3831 0.6583 (multiplicity 1)  1 Mg 2.07, 3 Mn 2.08-2.24, 1 Fe 2.23
O3 0.1710 0.9497 0.6660 (multiplicity 1)  1 Mg 2.06, 2 Mn 2.06-2.20, 2 Fe 2.16-2.19
O4 0.2052 0.4268 0.1511 (multiplicity 1)  3 Mn 2.02-2.13, 1 Fe 2.16
O5 0.6125 0.8862 0.7806 (multiplicity 1)  3 Mn 1.98-2.10, 1 Fe 2.05
O6 0.6136 0.3183 0.7719 (multiplicity 1)  2 Fe 1.98-2.02, 2 Mn 2.00-2.10
O7 0.6137 0.8684 0.2481 (multiplicity 1)  1 Mg 1.97, 2 Mn 2.10-2.18, 1 Fe 2.10
O8 0.6330 0.4058 0.1769 (multiplicity 1)  2 Fe 2.04-2.11, 2 Mn 2.09-2.13

relative energy among the computed polymorphs: 0.062 eV per atom
volume: 11.8 A^3/atom
uncorrected energy: -105.60 eV for the cell shown

VASP calculation (PBE with a Hubbard U) on a relaxed MgMn4Fe2O8 crystal.

Cell: 6.1163 6.1163 10.5583 Å, 90.00 90.00 90.00°
Closest atoms and distances in Å follow each position.
Space group I-4m2 (No. 119)
Asymmetric unit:
Mg1 0.0000 0.0000 0.0000 (multiplicity 2)  4 O 2.06
Mn1 0.0000 0.2531 0.1760 (multiplicity 8)  5 O 2.14-2.22
Fe1 0.0000 0.0000 0.5000 (multiplicity 2)  4 O 2.01
Fe2 0.0000 0.5000 0.7500 (multiplicity 2)  4 O 2.00
O1 0.0000 0.2348 0.8604 (multiplicity 8)  1 Fe 2.00, 1 Mg 2.06, 2 Mn 2.15
O2 0.0000 0.2522 0.3785 (multiplicity 8)  1 Fe 2.01, 3 Mn 2.14-2.22

relative energy among the computed polymorphs: 0.389 eV per atom
volume: 13.2 A^3/atom
uncorrected energy: -201.40 eV for the cell shown

VASP calculation (PBE with a Hubbard U) on a relaxed MgMn4FeO8 crystal.

Cell: 5.9954 6.0229 6.0550 Å, 60.86 88.81 60.21°
Closest atoms and distances in Å follow each position.
Space group P-1 (No. 2)
Asymmetric unit:
Mg1 0.0000 0.0000 0.0000 (multiplicity 1)  6 O 2.10-2.14
Mn1 0.0000 0.5000 0.0000 (multiplicity 1)  6 O 2.13-2.17
Mn2 0.5000 0.0000 0.0000 (multiplicity 1)  6 O 1.94-1.97
Mn3 0.5000 0.0000 0.5000 (multiplicity 1)  6 O 2.16-2.24
Mn4 0.5000 0.5000 0.5000 (multiplicity 1)  6 O 2.10-2.25
Fe1 0.5000 0.5000 0.0000 (multiplicity 1)  6 O 1.96-2.02
O1 0.2573 0.0128 0.2179 (multiplicity 2)  2 Mn 1.94-2.13, 1 Mg 2.10
O2 0.2631 0.5119 0.2278 (multiplicity 2)  1 Fe 1.96, 1 Mg 2.14, 2 Mn 2.15-2.17
O3 0.2950 0.4494 0.7879 (multiplicity 2)  3 Mn 1.97-2.15, 1 Fe 2.02
O4 0.2965 0.9516 0.8014 (multiplicity 2)  2 Mn 1.94-2.16, 1 Fe 1.98, 1 Mg 2.10

relative energy among the computed polymorphs: 0.020 eV per atom
volume: 11.3 A^3/atom
uncorrected energy: -99.43 eV for the cell shown

VASP calculation (PBE with a Hubbard U) on a relaxed MgMn3FeO8 crystal.

Cell: 10.4282 5.8764 5.8587 Å, 90.00 123.27 90.00°
Closest atoms and distances in Å follow each position.
Space group C2/m (No. 12)
Asymmetric unit:
Mg1 0.0000 0.0000 0.0000 (multiplicity 2)  6 O 2.07-2.17
Mn1 0.0000 0.5000 0.5000 (multiplicity 2)  4 O 2.00
Mn2 0.2500 0.2500 0.0000 (multiplicity 4)  6 O 1.94-1.96
Fe1 0.0000 0.5000 0.0000 (multiplicity 2)  6 O 2.02-2.04
O1 0.0261 0.2680 0.7732 (multiplicity 8)  2 Mn 1.96-2.00, 1 Fe 2.02, 1 Mg 2.17
O2 0.2338 0.5000 0.2012 (multiplicity 4)  2 Mn 1.95, 1 Fe 2.04
O3 0.2366 0.0000 0.2015 (multiplicity 4)  2 Mn 1.94, 1 Mg 2.07

relative energy among the computed polymorphs: 0.000 eV per atom
volume: 11.5 A^3/atom
uncorrected energy: -179.61 eV for the cell shown

VASP calculation (PBE with a Hubbard U) on a relaxed MgMn2FeWO6 crystal.

Cell: 5.3916 5.5608 5.6650 Å, 99.57 112.39 111.67°
Closest atoms and distances in Å follow each position.
Space group P1 (No. 1)
Asymmetric unit:
Mg1 0.0000 0.0000 0.0000 (multiplicity 1)  4 O 1.99-2.09
Mn1 0.3371 0.8471 0.7765 (multiplicity 1)  4 O 2.07-2.25
Mn2 0.5208 0.5555 0.3573 (multiplicity 1)  5 O 2.14-2.24
Fe1 0.7060 0.4152 0.9333 (multiplicity 1)  4 O 2.01-2.16
W1 0.8529 0.1740 0.4424 (multiplicity 1)  6 O 2.01-2.20
O1 0.0414 0.3686 0.2176 (multiplicity 1)  1 Fe 2.05, 1 Mg 2.09, 1 W 2.11, 1 Mn 2.14
O2 0.2572 0.1951 0.6725 (multiplicity 1)  1 Fe 2.01, 1 W 2.01
O3 0.4479 0.1435 0.1692 (multiplicity 1)  1 Mg 1.99, 1 W 2.06, 1 Mn 2.18
O4 0.6655 0.9518 0.6462 (multiplicity 1)  1 Mg 2.01, 1 W 2.08, 2 Mn 2.10-2.17
O5 0.7129 0.7869 0.1324 (multiplicity 1)  1 Mg 2.05, 1 Fe 2.16, 1 W 2.20, 1 Mn 2.22
O6 0.9124 0.5575 0.6964 (multiplicity 1)  2 Mn 2.07-2.24, 1 Fe 2.12, 1 W 2.20

relative energy among the computed polymorphs: 0.051 eV per atom
volume: 12.4 A^3/atom
uncorrected energy: -78.47 eV for the cell shown

VASP calculation (PBE with a Hubbard U) on a relaxed MgMn2FeWO6 crystal.

Cell: 5.3490 5.3781 5.9424 Å, 65.05 66.35 60.37°
Closest atoms and distances in Å follow each position.
Space group P1 (No. 1)
Asymmetric unit:
Mg1 0.0000 0.0000 0.0000 (multiplicity 1)  6 O 2.05-2.17
Mn1 0.3674 0.3606 0.8989 (multiplicity 1)  3 O 2.08-2.11
Mn2 0.8330 0.8285 0.5063 (multiplicity 1)  6 O 2.14-2.28
Fe1 0.1786 0.1815 0.4738 (multiplicity 1)  4 O 2.05-2.23
W1 0.6423 0.6467 0.0572 (multiplicity 1)  6 O 2.04-2.23
O1 0.0129 0.7597 0.8015 (multiplicity 1)  1 Mg 2.05, 2 Mn 2.08-2.14, 1 W 2.15
O2 0.2532 0.5884 0.2426 (multiplicity 1)  1 W 2.04, 1 Fe 2.17, 1 Mg 2.17, 1 Mn 2.28
O3 0.3970 0.0314 0.7739 (multiplicity 1)  1 Mg 2.05, 2 Mn 2.11-2.27, 1 Fe 2.17, 1 W 2.23
O4 0.5965 0.9320 0.2302 (multiplicity 1)  1 W 2.06, 1 Mg 2.16, 1 Mn 2.19, 1 Fe 2.23
O5 0.7688 0.4148 0.7912 (multiplicity 1)  1 Mg 2.05, 2 Mn 2.11-2.25, 1 W 2.12
O6 0.9374 0.2310 0.2529 (multiplicity 1)  1 Fe 2.05, 1 W 2.15, 1 Mg 2.16, 1 Mn 2.24

relative energy among the computed polymorphs: 0.024 eV per atom
volume: 11.9 A^3/atom
uncorrected energy: -78.76 eV for the cell shown